[1]
Here is an optimized crystal structure of ErSi2Pt2 from Materials Project. Energies are from GGA-PBE.

Properties
Symmetry ... I4/mmm, No. 139
Crystal system ... tetragonal
ρ ... 11.5 g cm⁻³
Formation enthalpy at 0 K ... -956 meV per atom

Cell: 5.858 5.858 5.858 Å, 138.03 138.03 60.85°
Element x y z (fractional)
Er: 0.000 0.000 0.000
Si: 0.250 0.750 0.500
Si: 0.750 0.250 0.500
Pt: 0.368 0.368 0.000
Pt: 0.632 0.632 0.000

***

[2]
Here is an optimized crystal structure of Er7Te2Pt2 from Materials Project. Energies are from GGA-PBE.

Properties
Symmetry ... Imm2, No. 44
Crystal system ... orthorhombic
ρ ... 10.2 g cm⁻³
Formation enthalpy at 0 K ... -1020 meV per atom

Cell: 9.349 9.349 9.349 Å, 155.64 67.39 118.26°
Element x y z (fractional)
Er: 0.000 0.000 0.000
Er: 0.285 0.415 0.869
Er: 0.307 0.623 0.684
Er: 0.546 0.415 0.131
Er: 0.623 0.268 0.356
Er: 0.912 0.268 0.644
Er: 0.939 0.623 0.316
Te: 0.263 0.763 0.500
Te: 0.662 0.662 0.000
Pt: 0.164 0.927 0.238
Pt: 0.689 0.927 0.762

***

[3]
Here is an optimized crystal structure of ErZnPt from Materials Project. Energies are from GGA-PBE.

Properties
Symmetry ... Pnma, No. 62
Crystal system ... orthorhombic
ρ ... 12.2 g cm⁻³
Formation enthalpy at 0 K ... -989 meV per atom

Cell: 6.927 4.126 8.174 Å, 90.00 90.00 90.00°
Element x y z (fractional)
Er: 0.043 0.250 0.184
Er: 0.457 0.750 0.684
Er: 0.543 0.250 0.316
Er: 0.957 0.750 0.816
Zn: 0.137 0.250 0.563
Zn: 0.363 0.750 0.063
Zn: 0.637 0.250 0.937
Zn: 0.863 0.750 0.437
Pt: 0.249 0.750 0.377
Pt: 0.251 0.250 0.877
Pt: 0.749 0.750 0.123
Pt: 0.751 0.250 0.623

***

[4]
Here is an optimized crystal structure of ErPu3 from Materials Project. Energies are from GGA-PBE.

Properties
Symmetry ... P6_3/mmc, No. 194
Crystal system ... hexagonal
ρ ... 13.4 g cm⁻³
Formation enthalpy at 0 K ... 188 meV per atom

Cell: 6.845 6.845 5.498 Å, 90.00 90.00 120.00°
Element x y z (fractional)
Er: 0.333 0.667 0.250
Er: 0.667 0.333 0.750
Pu: 0.164 0.328 0.750
Pu: 0.164 0.836 0.750
Pu: 0.328 0.164 0.250
Pu: 0.672 0.836 0.750
Pu: 0.836 0.164 0.250
Pu: 0.836 0.672 0.250

***

Repeat the first record exactly.
Here is an optimized crystal structure of ErSi2Pt2 from Materials Project. Energies are from GGA-PBE.

Properties
Symmetry ... I4/mmm, No. 139
Crystal system ... tetragonal
ρ ... 11.5 g cm⁻³
Formation enthalpy at 0 K ... -956 meV per atom

Cell: 5.858 5.858 5.858 Å, 138.03 138.03 60.85°
Element x y z (fractional)
Er: 0.000 0.000 0.000
Si: 0.250 0.750 0.500
Si: 0.750 0.250 0.500
Pt: 0.368 0.368 0.000
Pt: 0.632 0.632 0.000